First-principles (GGA-PBE) data for a geometry-optimized Bi3Pd8 structure, as listed in the Materials Project.

Values from the calculation:
formation energy from the elements = -0.2553 eV per atom
size of the total moment = 0.00 Bohr magnetons per cell
uncorrected energy = -223.67 eV per cell
symmetry = R3

a b c (Å): 15.291 15.291 15.291
angles (deg): 30.25 30.25 30.25
Fractional coordinates of all 44 atoms:
Pd1 0.139 0.139 0.139
Pd2 0.707 0.707 0.707
Bi1 0.575 0.575 0.575
Pd3 0.542 0.832 0.245
Pd4 0.331 0.041 0.745
Pd5 0.017 0.606 0.294
Pd6 0.745 0.331 0.041
Pd7 0.041 0.745 0.331
Pd8 0.494 0.494 0.494
Pd9 0.069 0.437 0.708
Pd10 0.410 0.114 0.793
Pd11 0.862 0.862 0.862
Pd12 0.567 0.210 0.937
Pd13 0.937 0.567 0.210
Pd14 0.606 0.294 0.017
Pd15 0.362 0.362 0.362
Pd16 0.620 0.908 0.292
Bi2 0.770 0.770 0.770
Pd17 0.210 0.937 0.567
Pd18 0.793 0.410 0.114
Pd19 0.292 0.620 0.908
Pd20 0.832 0.245 0.542
Bi3 0.075 0.075 0.075
Bi4 0.493 0.162 0.862
Bi5 0.362 0.665 0.992
Pd21 0.507 0.792 0.117
Pd22 0.908 0.292 0.620
Pd23 0.708 0.069 0.437
Pd24 0.245 0.542 0.832
Bi6 0.162 0.862 0.493
Pd25 0.640 0.640 0.640
Pd26 0.437 0.708 0.069
Pd27 0.792 0.117 0.507
Bi7 0.927 0.927 0.927
Pd28 0.206 0.206 0.206
Pd29 0.117 0.507 0.792
Pd30 0.114 0.793 0.410
Bi8 0.862 0.493 0.162
Bi9 0.428 0.428 0.428
Bi10 0.268 0.268 0.268
Pd31 0.992 0.992 0.992
Bi11 0.992 0.362 0.665
Pd32 0.294 0.017 0.606
Bi12 0.665 0.992 0.362

First-principles (GGA-PBE) data for a geometry-optimized ScPd3 structure, as listed in the Materials Project.

Values from the calculation:
formation energy from the elements = -0.8556 eV per atom
uncorrected energy = -25.29 eV per cell
symmetry = Pm-3m

a b c (Å): 4.017 4.017 4.017
angles (deg): 90.00 90.00 90.00
Fractional coordinates of all 4 atoms:
Pd1 0.500 0.500 0.000
Pd2 0.000 0.500 0.500
Pd3 0.500 0.000 0.500
Sc1 0.000 0.000 0.000

First-principles (GGA-PBE) data for a geometry-optimized URh3 structure, as listed in the Materials Project.

Values from the calculation:
formation energy from the elements = -0.6727 eV per atom
uncorrected energy = -36.08 eV per cell
symmetry = Pm-3m

a b c (Å): 4.031 4.031 4.031
angles (deg): 90.00 90.00 90.00
Fractional coordinates of all 4 atoms:
Rh1 0.500 0.500 0.000
Rh2 0.500 0.000 0.500
Rh3 0.000 0.500 0.500
U1 0.000 0.000 0.000

First-principles (GGA-PBE) data for a geometry-optimized LiCe2Ru structure, as listed in the Materials Project.

Values from the calculation:
formation energy from the elements = -0.0934 eV per atom
size of the total moment = 0.69 Bohr magnetons per cell
uncorrected energy = -23.42 eV per cell
symmetry = Fm-3m

a b c (Å): 4.964 4.964 4.964
angles (deg): 60.00 60.00 60.00
Fractional coordinates of all 4 atoms:
Li1 0.500 0.500 0.500
Ce1 0.750 0.750 0.750
Ce2 0.250 0.250 0.250
Ru1 0.000 0.000 0.000

- Number 3 is which compound?
  URh3